Record 1
## V5O7 (PBE+U)

Data for a geometry-optimized V5O7 structure.

abc: 5.3344 5.3344 18.8838
angles: 90.00 90.00 147.04
Last column: nearest neighbours and their distance in Å.
Atoms (fractional coordinates):
V1 0.0000 0.0000 0.0000  6 O 2.19-2.21
V2 0.0000 0.0000 0.5000  6 O 2.19-2.21
V3 0.2643 0.7357 0.5761  4 O 1.90-2.13
V4 0.2643 0.7357 0.9239  4 O 1.90-2.13
V5 0.4797 0.5203 0.1583  3 O 1.79-1.98
V6 0.4797 0.5203 0.3417  3 O 1.79-1.98
V7 0.5203 0.4797 0.6583  3 O 1.79-1.98
V8 0.5203 0.4797 0.8417  3 O 1.79-1.98
V9 0.7357 0.2643 0.0761  4 O 1.90-2.13
V10 0.7357 0.2643 0.4239  4 O 1.90-2.13
O1 0.1014 0.8986 0.1032  5 V 2.11-2.22
O2 0.1014 0.8986 0.3968  5 V 2.11-2.22
O3 0.1445 0.8555 0.6533  3 V 1.90-1.98
O4 0.1445 0.8555 0.8467  3 V 1.90-1.98
O5 0.3528 0.6472 0.0262  5 V 2.13-2.19
O6 0.3528 0.6472 0.4738  5 V 2.13-2.19
O7 0.4745 0.5255 0.7500  2 V 1.79
O8 0.5255 0.4745 0.2500  2 V 1.79
O9 0.6472 0.3528 0.5262  5 V 2.13-2.19
O10 0.6472 0.3528 0.9738  5 V 2.13-2.19
O11 0.8555 0.1445 0.1533  3 V 1.90-1.98
O12 0.8555 0.1445 0.3467  3 V 1.90-1.98
O13 0.8986 0.1014 0.6032  5 V 2.11-2.22
O14 0.8986 0.1014 0.8968  5 V 2.11-2.22

Computed properties:
V (Å³ per cell): 292
Formation energy (kJ per mole of atoms): -220.25
Magnetization (μB per formula unit): 5.0

***

Record 2
## Mg2MnNb2O8 (PBE+U)

Data for a geometry-optimized Mg2MnNb2O8 structure.

abc: 10.1830 10.1830 5.2279
angles: 90.30 90.30 34.66
Last column: nearest neighbours and their distance in Å.
Atoms (fractional coordinates):
Mg1 0.0875 0.3701 0.2545  4 O 2.02-2.13
Mg2 0.3701 0.0875 0.7545  4 O 2.02-2.13
Mg3 0.6299 0.9125 0.2455  4 O 2.02-2.13
Mg4 0.9125 0.6299 0.7455  4 O 2.02-2.13
Mn1 0.1602 0.8398 0.7500  6 O 2.16-2.26
Mn2 0.8398 0.1602 0.2500  6 O 2.16-2.26
Nb1 0.2142 0.5500 0.2413  4 O 1.85-2.05
Nb2 0.4500 0.7858 0.2587  4 O 1.85-2.05
Nb3 0.5500 0.2142 0.7413  4 O 1.85-2.05
Nb4 0.7858 0.4500 0.7587  4 O 1.85-2.05
O1 0.0460 0.3365 0.6171  1 Nb 1.97, 3 Mg 2.02-2.13
O2 0.0653 0.8131 0.0919  1 Nb 1.85
O3 0.1869 0.9347 0.4081  1 Nb 1.85
O4 0.2061 0.4173 0.9559  2 Mg 2.04-2.26, 1 Nb 2.05
O5 0.3182 0.5356 0.5751  2 Nb 1.98-2.08, 1 Mn 2.19
O6 0.3365 0.0460 0.1171  1 Nb 1.97, 3 Mg 2.02-2.13
O7 0.4173 0.2061 0.4559  2 Mg 2.04-2.26, 1 Nb 2.05
O8 0.4644 0.6818 0.9249  2 Nb 1.98-2.08, 1 Mn 2.19
O9 0.5356 0.3182 0.0751  2 Nb 1.98-2.08, 1 Mn 2.19
O10 0.5827 0.7939 0.5441  2 Mg 2.04-2.26, 1 Nb 2.05
O11 0.6635 0.9540 0.8829  1 Nb 1.97, 3 Mg 2.02-2.13
O12 0.6818 0.4644 0.4249  2 Nb 1.98-2.08, 1 Mn 2.19
O13 0.7939 0.5827 0.0441  2 Mg 2.04-2.26, 1 Nb 2.05
O14 0.8131 0.0653 0.5919  1 Nb 1.85
O15 0.9347 0.1869 0.9081  1 Nb 1.85
O16 0.9540 0.6635 0.3829  1 Nb 1.97, 3 Mg 2.02-2.13

Computed properties:
V (Å³ per cell): 308
Formation energy (kJ per mole of atoms): -283.63
Magnetization (μB per formula unit): 5.0

***

Record 3
## Cr2CdH14N4O8 (PBE+U)

Data for a geometry-optimized Cr2CdH14N4O8 structure.

abc: 7.0315 7.0315 7.6706
angles: 107.30 107.30 51.98
Last column: nearest neighbours and their distance in Å.
Atoms (fractional coordinates):
Cr1 0.1590 0.1590 0.2204  4 O 1.65-1.68
Cr2 0.8410 0.8410 0.7796  4 O 1.65-1.68
Cd1 0.5000 0.5000 0.0000  2 N 2.24, 4 O 2.41
H1 0.0868 0.3554 0.7907  1 N 1.04
H2 0.0994 0.0994 0.7715  1 N 1.04
H3 0.1467 0.1467 0.5914  1 N 1.04
H4 0.3203 0.5889 0.6413  1 N 1.02
H5 0.3554 0.0868 0.7907  1 N 1.04
H6 0.4111 0.6797 0.3587  1 N 1.02
H7 0.4242 0.4242 0.3066  1 N 1.03
H8 0.5758 0.5758 0.6934  1 N 1.03
H9 0.5889 0.3203 0.6413  1 N 1.02
H10 0.6446 0.9132 0.2093  1 N 1.04
H11 0.6797 0.4111 0.3587  1 N 1.02
H12 0.8533 0.8533 0.4086  1 N 1.04
H13 0.9006 0.9006 0.2285  1 N 1.04
H14 0.9132 0.6446 0.2093  1 N 1.04
N1 0.1714 0.1714 0.7354  4 H 1.04
N2 0.4973 0.4973 0.7069  3 H 1.02-1.03
N3 0.5027 0.5027 0.2931  3 H 1.02-1.03
N4 0.8286 0.8286 0.2646  4 H 1.04
O1 0.0686 0.0686 0.3382  1 Cr 1.67, 1 H 1.86
O2 0.0809 0.6356 0.9117  1 Cr 1.68
O3 0.2884 0.2884 0.3673  1 Cr 1.65
O4 0.3644 0.9191 0.0883  1 Cr 1.68
O5 0.6356 0.0809 0.9117  1 Cr 1.68
O6 0.7116 0.7116 0.6327  1 Cr 1.65
O7 0.9191 0.3644 0.0883  1 Cr 1.68
O8 0.9314 0.9314 0.6618  1 Cr 1.67, 1 H 1.86

Computed properties:
V (Å³ per cell): 282
Formation energy (kJ per mole of atoms): -91.53
Magnetization (μB per formula unit): 0.0

***

Record 4
## CoH32C8S4N2O10 (PBE+U)

Data for a geometry-optimized CoH32C8S4N2O10 structure.

abc: 10.2210 10.7148 11.9113
angles: 90.00 124.52 90.00
Last column: nearest neighbours and their distance in Å.
Atoms (fractional coordinates):
Co1 0.0000 0.0000 0.0000  4 O 2.13-2.14
Co2 0.0000 0.5000 0.5000  4 O 2.13-2.14
H1 0.0851 0.1627 0.2052  1 O 1.00
H2 0.0851 0.3373 0.7052  1 O 1.00
H3 0.1099 0.1014 0.8685  1 O 1.00
H4 0.1099 0.3986 0.3685  1 O 1.00
H5 0.1179 0.1379 0.5819  1 C 1.10
H6 0.1179 0.3621 0.0819  1 C 1.10
H7 0.1549 0.0026 0.5136  1 C 1.10
H8 0.1549 0.4974 0.0136  1 C 1.10
H9 0.1738 0.5093 0.1723  1 C 1.10
H10 0.1738 0.9907 0.6723  1 C 1.10
H11 0.1787 0.0328 0.2606  1 O 1.00
H12 0.1787 0.4672 0.7606  1 O 1.00
H13 0.1851 0.5367 0.4119  1 O 0.99
H14 0.1851 0.9633 0.9119  1 O 0.99
H15 0.3089 0.2442 0.0709  1 C 1.10
H16 0.3089 0.2558 0.5709  1 C 1.10
H17 0.3412 0.2314 0.7918  1 C 1.10
H18 0.3412 0.2686 0.2918  1 C 1.10
H19 0.3478 0.1234 0.5009  1 C 1.09
H20 0.3478 0.3766 0.0009  1 C 1.09
H21 0.4035 0.0828 0.8771  1 C 1.10
H22 0.4035 0.4172 0.3771  1 C 1.10
H23 0.4165 0.0019 0.2333  1 C 1.10
H24 0.4165 0.4981 0.7333  1 C 1.10
H25 0.4184 0.5718 0.1117  1 C 1.10
H26 0.4184 0.9282 0.6117  1 C 1.10
H27 0.4360 0.5920 0.2696  1 C 1.09
H28 0.4360 0.9080 0.7696  1 C 1.09
H29 0.4591 0.6752 0.6357  1 C 1.10
H30 0.4591 0.8248 0.1357  1 C 1.10
H31 0.4903 0.6977 0.8486  1 C 1.10
H32 0.4903 0.8023 0.3486  1 C 1.10
H33 0.5097 0.1977 0.6514  1 C 1.10
H34 0.5097 0.3023 0.1514  1 C 1.10
H35 0.5409 0.1752 0.8643  1 C 1.10
H36 0.5409 0.3248 0.3643  1 C 1.10
H37 0.5640 0.0920 0.2304  1 C 1.09
H38 0.5640 0.4080 0.7304  1 C 1.09
H39 0.5816 0.0718 0.3883  1 C 1.10
H40 0.5816 0.4282 0.8883  1 C 1.10
H41 0.5835 0.5019 0.2667  1 C 1.10
H42 0.5835 0.9981 0.7667  1 C 1.10
H43 0.5965 0.5828 0.6229  1 C 1.10
H44 0.5965 0.9172 0.1229  1 C 1.10
H45 0.6522 0.6234 0.9991  1 C 1.09
H46 0.6522 0.8766 0.4991  1 C 1.09
H47 0.6588 0.7314 0.7082  1 C 1.10
H48 0.6588 0.7686 0.2082  1 C 1.10
H49 0.6911 0.7442 0.4291  1 C 1.10
H50 0.6911 0.7558 0.9291  1 C 1.10
H51 0.8149 0.0367 0.0881  1 O 0.99
H52 0.8149 0.4633 0.5881  1 O 0.99
H53 0.8213 0.5328 0.2394  1 O 1.00
H54 0.8213 0.9672 0.7394  1 O 1.00
H55 0.8262 0.0093 0.3277  1 C 1.10
H56 0.8262 0.4907 0.8277  1 C 1.10
H57 0.8451 0.5026 0.9864  1 C 1.10
H58 0.8451 0.9974 0.4864  1 C 1.10
H59 0.8821 0.6379 0.9181  1 C 1.10
H60 0.8821 0.8621 0.4181  1 C 1.10
H61 0.8901 0.6014 0.6315  1 O 1.00
H62 0.8901 0.8986 0.1315  1 O 1.00
H63 0.9149 0.6627 0.2948  1 O 1.00
H64 0.9149 0.8373 0.7948  1 O 1.00
C1 0.1883 0.0524 0.6067  3 H 1.10
C2 0.1883 0.4476 0.1067  3 H 1.10
C3 0.3834 0.1732 0.5945  3 H 1.09-1.10
C4 0.3834 0.3268 0.0945  3 H 1.09-1.10
C5 0.4158 0.1492 0.8137  3 H 1.10
C6 0.4158 0.3508 0.3137  3 H 1.10
C7 0.4580 0.5289 0.2097  3 H 1.09-1.10
C8 0.4580 0.9711 0.7097  3 H 1.09-1.10
C9 0.5420 0.0289 0.2903  3 H 1.09-1.10
C10 0.5420 0.4711 0.7903  3 H 1.09-1.10
C11 0.5842 0.6492 0.6863  3 H 1.10
C12 0.5842 0.8508 0.1863  3 H 1.10
C13 0.6166 0.6732 0.9055  3 H 1.09-1.10
C14 0.6166 0.8268 0.4055  3 H 1.09-1.10
C15 0.8117 0.5524 0.8933  3 H 1.10
C16 0.8117 0.9476 0.3933  3 H 1.10
S1 0.1495 0.7006 0.6116  1 S 2.04
S2 0.1495 0.7994 0.1116  1 S 2.04
S3 0.1578 0.7127 0.7863  3 O 1.48-1.51
S4 0.1578 0.7873 0.2863  3 O 1.48-1.51
S5 0.8422 0.2127 0.7137  3 O 1.48-1.51
S6 0.8422 0.2873 0.2137  3 O 1.48-1.51
S7 0.8505 0.2006 0.8884  1 S 2.04
S8 0.8505 0.2994 0.3884  1 S 2.04
N1 0.3608 0.0866 0.6811  4 C 1.50
N2 0.3608 0.4134 0.1811  4 C 1.50
N3 0.6392 0.5866 0.8189  4 C 1.50
N4 0.6392 0.9134 0.3189  4 C 1.50
O1 0.0101 0.2177 0.7518  1 S 1.51
O2 0.0101 0.2823 0.2518  1 S 1.51
O3 0.1435 0.0983 0.1894  2 H 1.00
O4 0.1435 0.4017 0.6894  2 H 1.00
O5 0.1606 0.0391 0.9445  2 H 0.99-1.00
O6 0.1606 0.4609 0.4445  2 H 0.99-1.00
O7 0.2386 0.5990 0.8687  1 S 1.49
O8 0.2386 0.9010 0.3687  1 S 1.49
O9 0.2443 0.6718 0.3589  1 S 1.48
O10 0.2443 0.8282 0.8589  1 S 1.48
O11 0.7557 0.1718 0.1411  1 S 1.48
O12 0.7557 0.3282 0.6411  1 S 1.48
O13 0.7614 0.0990 0.6313  1 S 1.49
O14 0.7614 0.4010 0.1313  1 S 1.49
O15 0.8394 0.5391 0.5555  2 H 0.99-1.00
O16 0.8394 0.9609 0.0555  2 H 0.99-1.00
O17 0.8565 0.5983 0.3106  2 H 1.00
O18 0.8565 0.9017 0.8106  2 H 1.00
O19 0.9899 0.7177 0.7482  1 S 1.51
O20 0.9899 0.7823 0.2482  1 S 1.51

Computed properties:
V (Å³ per cell): 1075
Polymorph energy (0 for the lowest one) (kJ per mole of atoms): 0.00
Formation energy (kJ per mole of atoms): -61.22
Magnetization (μB per formula unit): 3.0

***

Which of these has the lowest formation energy?
Mg2MnNb2O8